DFT (PBE-GGA) results for crystalline KHI2O6 at its relaxed geometry.

Geometry as POSCAR:
```
KHI2O6
1.0
7.5958 0.0000 0.0000
0.0000 8.6903 0.0000
0.0000 0.0000 19.7346
K H I O
8 8 16 48
Cartesian
3.9530 4.4791 6.9649
3.6428 4.2112 16.8322
3.9530 8.5564 16.8322
3.6428 0.1339 6.9649
7.5511 4.6489 3.1007
0.0447 4.0414 12.9679
7.5511 8.3865 12.9679
0.0447 0.3038 3.1007
5.7435 4.4181 0.0767
1.8523 4.2722 9.9439
5.7435 8.6173 9.9439
1.8523 0.0730 0.0767
5.5524 2.2599 5.1925
2.0433 6.4304 15.0598
5.5524 2.0852 15.0598
2.0433 6.6051 5.1925
6.1494 7.1968 0.0146
1.4464 1.4935 9.8818
6.1494 5.8387 9.8818
1.4464 2.8516 0.0146
2.3543 6.3052 0.0892
5.2414 2.3851 9.9565
2.3543 6.7303 9.9565
5.2414 1.9601 0.0892
7.2008 7.0994 6.5278
0.3950 1.5909 16.3951
7.2008 5.9361 16.3951
0.3950 2.7542 6.5278
4.0847 6.5498 3.7264
3.5111 2.1405 13.5937
4.0847 6.4856 13.5937
3.5111 2.2047 3.7264
5.4965 5.6469 18.9620
2.0993 3.0434 9.0947
5.4965 7.3886 9.0947
2.0993 1.3017 18.9620
4.5979 8.1819 19.4679
2.9979 0.5084 9.6006
4.5979 4.8535 9.6006
2.9979 3.8368 19.4679
5.9367 6.8409 1.7962
1.6591 1.8495 11.6635
5.9367 6.1946 11.6635
1.6591 2.4957 1.7962
0.7839 5.4283 0.4870
6.8119 3.2620 10.3542
0.7839 7.6071 10.3542
6.8119 1.0832 0.4870
1.5968 7.9704 0.7000
5.9990 0.7199 10.5673
1.5968 5.0650 10.5673
5.9990 3.6253 0.7000
2.1251 6.5483 18.0410
5.4707 2.1420 8.1737
2.1251 6.4871 8.1737
5.4707 2.2032 18.0410
0.6109 6.7081 5.0335
6.9849 1.9822 14.9008
0.6109 6.3273 14.9008
6.9849 2.3630 5.0335
6.6544 5.4144 7.0323
0.9414 3.2759 16.8995
6.6544 7.6210 16.8995
0.9414 1.0693 7.0323
5.7543 7.7477 5.6305
1.8415 0.9427 15.4978
5.7543 5.2878 15.4978
1.8415 3.4025 5.6305
2.6891 6.0043 2.6697
4.9067 2.6860 12.5370
2.6891 7.0312 12.5370
4.9067 1.6591 2.6697
3.0935 6.5649 5.3626
4.5022 2.1254 15.2299
3.0935 6.4706 15.2299
4.5022 2.2197 5.3626
4.9219 4.9819 4.0330
2.6738 3.7084 13.9003
4.9219 8.0535 13.9003
2.6738 0.6368 4.0330
```

Properties
polymorph energy (0 for the lowest one) = 0 meV per atom
formation energy = -1156 meV per atom



DFT (PBE-GGA) results for crystalline KH2I3O at its relaxed geometry.

Geometry as POSCAR:
```
KH2I3O
1.0
-1.5268 10.0563 0.4140
-1.9349 -0.1179 -4.2715
-9.6585 -1.4523 -0.3425
K H I O
2 4 6 2
Cartesian
-9.0485 6.6623 -4.0551
-3.4143 2.0866 -4.1021
-10.1252 6.7099 -1.0039
-4.3912 1.4771 -1.0780
-9.6305 5.2512 -1.2407
-4.3539 3.0309 -1.1907
-10.7280 3.1788 -2.9674
-6.0371 4.8168 -2.7586
-8.3826 1.3537 -2.8479
-4.3366 7.2391 -2.4642
-6.0527 -0.4782 -2.7699
-12.3120 8.2144 -2.5534
-9.3518 6.1868 -1.3059
-3.8113 2.2283 -1.3275
```

Properties
formation energy = -970 meV per atom



DFT (PBE-GGA) results for crystalline KHI2O6 at its relaxed geometry.

Geometry as POSCAR:
```
KHI2O6
1.0
7.5386 0.0000 0.0000
0.0000 8.7193 0.0000
0.0000 4.0126 9.9098
K H I O
4 4 8 24
Cartesian
5.6724 10.5272 7.9112
5.6354 6.1676 7.9112
1.9031 6.5644 1.9986
1.8661 2.2047 1.9986
0.0000 4.3597 0.0000
3.7693 0.0000 0.0000
0.0000 6.3660 4.9549
3.7693 2.0063 4.9549
2.2837 8.5005 8.6599
1.4856 4.1409 8.6599
0.4920 8.9670 5.0149
4.2612 8.1246 4.8949
3.2773 4.6074 5.0149
7.0466 3.7649 4.8949
6.0529 8.5911 1.2500
5.2549 4.2314 1.2500
3.4119 9.7548 9.3334
6.3522 8.3634 9.6308
0.3574 5.3952 9.3334
1.1550 9.4928 7.6315
4.9556 4.0037 9.6308
4.0940 8.3796 6.7014
2.6143 5.1331 7.6315
6.4697 9.8899 5.3500
7.3234 7.3436 5.6446
7.2138 4.0199 6.7014
3.5541 9.7480 4.2652
4.8381 5.5302 5.3500
2.7004 7.2018 4.5598
3.9844 2.9840 5.6446
0.3247 8.7120 3.2084
0.2152 5.3883 4.2652
1.0688 2.8421 4.5598
4.9242 7.5988 2.2783
3.4446 4.3524 3.2084
2.5830 8.7283 0.2790
6.3836 3.2392 2.2783
7.1812 7.3368 0.5764
1.1863 4.3686 0.2790
4.1266 2.9771 0.5764
```

Properties
polymorph energy (0 for the lowest one) = 4 meV per atom
formation energy = -1152 meV per atom



DFT (PBE-GGA) results for crystalline KHI2O6 at its relaxed geometry.

Geometry as POSCAR:
```
KHI2O6
1.0
-3.8686 -6.2017 3.9817
4.3660 -4.7286 -3.1230
16.0292 -0.1111 15.4010
K H I O
8 8 16 48
Cartesian
1.8843 -5.8791 -0.7941
5.6574 -6.6622 10.3520
14.6423 -5.1623 17.0538
10.8692 -4.3791 5.9077
6.0447 -4.7591 0.4147
3.5326 -4.5189 7.0480
10.4818 -6.2823 15.8450
12.9939 -6.5225 9.2117
2.8531 -7.3089 5.7101
5.0932 -4.5837 3.4313
13.6734 -3.7324 10.5496
11.4334 -6.4577 12.8284
3.6156 -3.2264 4.4853
4.1637 -8.9339 4.8280
12.9110 -7.8150 11.7745
12.3628 -2.1074 11.4317
3.8048 -7.7004 2.2158
5.8354 -1.4768 5.1823
12.7218 -3.3409 14.0439
10.6912 -9.5645 11.0774
15.9454 -9.2584 16.5162
7.5312 -3.5451 8.5397
0.5812 -1.7830 -0.2565
8.9954 -7.4963 7.7200
0.5945 -6.9723 4.8189
7.0054 -5.4756 4.6791
15.9321 -4.0690 11.4408
9.5211 -5.5657 11.5807
2.2956 -3.8970 2.4423
5.3574 -8.4658 7.0010
14.2310 -7.1444 13.8174
11.1691 -2.5755 9.2588
4.2237 -9.2720 3.0895
4.1205 -1.9828 5.6425
12.3028 -1.7694 13.1703
12.4061 -9.0586 10.6173
5.3194 -7.3856 1.2492
1.7543 -5.9059 8.7903
11.2072 -3.6557 15.0105
14.7722 -5.1355 7.4694
2.6674 -8.2600 0.9003
6.6788 -1.3886 6.8003
13.8591 -2.7814 15.3594
9.8478 -9.6528 9.4594
12.0381 -5.4611 18.1364
11.6599 -6.9874 6.6916
4.4885 -5.5803 -1.8767
4.8666 -4.0539 9.5682
18.0724 -3.6195 12.7486
8.0353 -4.9660 9.5993
-1.5459 -7.4218 3.5111
8.4913 -6.0754 6.6605
15.6977 -7.5778 15.7800
9.1632 -3.0065 7.8511
0.8289 -3.4635 0.4797
7.3634 -8.0348 8.4086
1.2824 -8.3123 3.8141
6.1335 -4.4307 5.8733
15.2442 -2.7291 12.4456
10.3931 -6.6107 10.3864
2.3008 -6.4767 5.6032
6.0309 -4.7982 3.1417
14.2258 -4.5647 10.6566
10.4956 -6.2431 13.1181
3.8131 -1.6503 2.2966
6.1164 -7.0631 4.8037
12.7135 -9.3911 13.9631
10.4101 -3.9782 11.4561
3.4232 -4.7713 1.3282
4.6069 -6.9870 7.7270
13.1033 -6.2701 14.9315
11.9197 -4.0543 8.5327
3.5399 -4.1012 3.9842
3.8236 -8.7256 5.7570
12.9866 -6.9402 12.2756
12.7029 -2.3157 10.5027
1.2059 -5.3076 2.7874
8.7145 -3.4204 4.3222
15.3206 -5.7338 13.4723
7.8120 -7.6210 11.9376
```

Properties
polymorph energy (0 for the lowest one) = 0 meV per atom
formation energy = -1156 meV per atom



DFT (PBE-GGA) results for crystalline KH2I3O9 at its relaxed geometry.

Geometry as POSCAR:
```
KH2I3O9
1.0
-8.3221 0.0000 0.0000
4.1209 7.2412 0.0000
-0.5888 -3.4684 -7.5543
K H I O
2 4 6 18
Cartesian
-0.6013 1.2355 -5.4505
-4.1853 2.5412 -2.1138
-4.4933 0.1477 -3.9911
-0.2927 3.6215 -3.5830
-6.6191 0.1470 -7.4141
3.5994 5.4765 -3.6405
-2.1700 5.9137 -1.5004
-2.6607 -2.1490 -6.0747
0.1617 2.5300 -1.3886
-4.8466 1.3471 -6.1365
-2.7429 4.5671 -5.4993
-2.0748 -0.7467 -1.9614
-7.4279 -1.5545 -4.1445
2.6145 5.2746 -3.3554
-6.7594 1.3763 -1.4086
2.0080 2.4024 -6.1543
-1.0120 4.2992 -4.9642
-3.7738 -0.5757 -2.5953
-3.9538 5.6525 -0.9841
-0.8873 -1.8845 -6.5453
-3.5243 3.0160 -4.8601
-1.2931 0.7136 -2.7096
-1.7935 4.1370 -1.7353
-3.0500 -0.3687 -5.8454
0.4437 3.0259 -3.2311
-5.2139 0.7591 -4.3439
1.0357 3.9570 -0.6004
-5.7350 -0.1700 -6.9494
-2.0623 2.7012 -7.3920
-2.7439 1.0352 -0.2007
```

Properties
formation energy = -1076 meV per atom



DFT (PBE-GGA) results for crystalline K2H2SeI2O10 at its relaxed geometry.

Geometry as POSCAR:
```
K2H2SeI2O10
1.0
1.5174 3.6341 3.0806
-8.9327 5.3375 2.1610
-1.4939 -4.3525 9.9281
K H Se I O
4 4 2 4 20
Cartesian
-5.5915 0.5749 8.0803
-9.3205 2.6461 11.5313
-3.3177 4.0442 7.0894
0.4113 1.9730 3.6384
-8.5233 1.9012 7.9821
-6.3802 1.3397 11.6464
-0.3859 2.7179 7.1876
-2.5290 3.2793 3.5233
-2.3234 0.5372 10.0778
-6.5858 4.0819 5.0919
-7.0853 4.5194 8.7535
-6.1098 2.8132 14.3435
-1.8239 0.0996 6.4162
-2.7994 1.8059 0.8262
-6.8998 4.5902 10.7133
-7.0145 1.0201 10.9238
-2.0094 0.0289 4.4564
-1.8947 3.5990 4.2459
-5.7512 3.3274 8.5613
-7.7959 3.1621 13.8210
-3.1580 1.2917 6.6084
-1.1133 1.4570 1.3487
-8.5542 3.4281 8.7854
-5.3811 2.1320 12.8090
-0.3550 1.1910 6.3843
-3.5281 2.4871 2.3607
-3.8323 -0.2202 10.1199
-1.4109 -0.1336 8.8250
-5.0769 4.8393 5.0498
-7.4983 4.7527 6.3447
-1.5119 0.2603 11.5118
-2.5713 2.1639 9.7880
-7.3972 4.3588 3.6579
-6.3379 2.4552 5.3817
```

Properties
formation energy = -1311 meV per atom



DFT (PBE-GGA) results for crystalline K2ZnH4I4O14 at its relaxed geometry.

Geometry as POSCAR:
```
K2ZnH4I4O14
1.0
-3.7475 -5.1509 -4.8658
-3.2085 -6.8247 2.7167
-8.2854 -1.0110 0.3658
K Zn H I O
2 1 4 4 14
Cartesian
-3.7344 -5.1915 -4.6818
-3.4780 -5.9879 -1.0741
-7.3735 -7.2608 2.5856
-6.8386 -7.1334 -0.1004
-7.1598 -5.5404 -2.3835
-8.3068 -6.7468 -2.5682
-8.2694 -6.2672 0.1925
-1.9177 -2.4748 -2.2753
-9.5206 -9.4169 -3.1498
-5.9566 -2.8375 -1.9508
-13.5753 -9.7304 -3.0482
-5.5362 -7.9405 -0.7439
-3.4172 -3.5146 -2.4682
-2.3023 -1.5534 -0.7198
-4.0204 -4.7094 1.3751
-6.0475 -4.6192 -1.5434
-9.8373 -10.7073 -1.8449
-7.7718 -6.0239 -3.0183
-7.5166 -6.8165 0.5724
-5.4284 -2.2036 -0.2812
-9.3225 -7.9679 -2.0498
-10.9337 -9.1691 0.8820
-13.0119 -11.2067 -2.0894
-12.0852 -8.6612 -2.9882
-9.6221 -5.3039 0.1285
```

Properties
largest piezoelectric modulus = 0.376 C/m2
formation energy = -1241 meV per atom